Entry 1:
Below is crystalline Gd3ReO7 at its relaxed geometry, with properties calculated at the PBE level.

Cell: 6.551 6.551 7.502 Å, 90.00 90.00 69.72°
Fractional coordinates of all 22 atoms:
Gd (0.000, 0.000, 0.000)
Gd (0.000, 0.000, 0.500)
Gd (0.055, 0.479, 0.750)
Gd (0.479, 0.055, 0.250)
Gd (0.521, 0.945, 0.750)
Gd (0.945, 0.521, 0.250)
Re (0.500, 0.500, 0.000)
Re (0.500, 0.500, 0.500)
O (0.111, 0.155, 0.250)
O (0.155, 0.111, 0.750)
O (0.180, 0.567, 0.030)
O (0.180, 0.567, 0.470)
O (0.433, 0.820, 0.030)
O (0.433, 0.820, 0.470)
O (0.451, 0.549, 0.750)
O (0.549, 0.451, 0.250)
O (0.567, 0.180, 0.530)
O (0.567, 0.180, 0.970)
O (0.820, 0.433, 0.530)
O (0.820, 0.433, 0.970)
O (0.845, 0.889, 0.250)
O (0.889, 0.845, 0.750)

Computed properties:
Formation enthalpy at 0 K: -3.299 eV per atom
E (MP2020): -11.42 eV per atom

Entry 2:
Below is crystalline OsO2F3 at its relaxed geometry, with properties calculated at the PBE level.

Cell: 5.764 10.329 12.910 Å, 90.00 101.48 90.00°
Fractional coordinates of all 48 atoms:
Os (0.029, 0.242, 0.497)
Os (0.029, 0.258, 0.997)
Os (0.341, 0.508, 0.217)
Os (0.341, 0.992, 0.717)
Os (0.659, 0.008, 0.283)
Os (0.659, 0.492, 0.783)
Os (0.971, 0.742, 0.003)
Os (0.971, 0.758, 0.503)
O (0.259, 0.166, 0.460)
O (0.259, 0.334, 0.960)
O (0.395, 0.078, 0.833)
O (0.395, 0.422, 0.333)
O (0.469, 0.655, 0.253)
O (0.469, 0.845, 0.753)
O (0.471, 0.559, 0.855)
O (0.471, 0.941, 0.355)
O (0.529, 0.059, 0.645)
O (0.529, 0.441, 0.145)
O (0.531, 0.155, 0.247)
O (0.531, 0.345, 0.747)
O (0.605, 0.578, 0.667)
O (0.605, 0.922, 0.167)
O (0.741, 0.666, 0.040)
O (0.741, 0.834, 0.540)
F (0.026, 0.556, 0.225)
F (0.026, 0.944, 0.725)
F (0.092, 0.665, 0.629)
F (0.092, 0.835, 0.129)
F (0.117, 0.156, 0.643)
F (0.117, 0.344, 0.143)
F (0.183, 0.106, 0.055)
F (0.183, 0.394, 0.555)
F (0.187, 0.590, 0.058)
F (0.187, 0.910, 0.558)
F (0.239, 0.710, 0.449)
F (0.239, 0.790, 0.949)
F (0.761, 0.210, 0.051)
F (0.761, 0.290, 0.551)
F (0.813, 0.090, 0.442)
F (0.813, 0.410, 0.942)
F (0.817, 0.606, 0.445)
F (0.817, 0.894, 0.945)
F (0.883, 0.656, 0.857)
F (0.883, 0.844, 0.357)
F (0.908, 0.165, 0.871)
F (0.908, 0.335, 0.371)
F (0.974, 0.056, 0.275)
F (0.974, 0.444, 0.775)

Computed properties:
Formation enthalpy at 0 K: -1.833 eV per atom
E (MP2020): -6.31 eV per atom

Entry 3:
Below is crystalline Ho4Rh at its relaxed geometry, with properties calculated at the PBE level.

Cell: 7.577 7.577 7.577 Å, 60.00 60.00 60.00°
Fractional coordinates of all 10 atoms:
Ho (0.208, 0.764, 0.764)
Ho (0.236, 0.236, 0.236)
Ho (0.236, 0.236, 0.792)
Ho (0.236, 0.792, 0.236)
Ho (0.764, 0.208, 0.764)
Ho (0.764, 0.764, 0.208)
Ho (0.764, 0.764, 0.764)
Ho (0.792, 0.236, 0.236)
Rh (0.375, 0.375, 0.375)
Rh (0.625, 0.625, 0.625)

Computed properties:
Formation enthalpy at 0 K: 0.080 eV per atom

Number 1: total magnetic moment 1.74 μB/atom, raw total energy -241.59 eV per cell. Number 2: total magnetic moment 0.00 μB/atom, raw total energy -280.84 eV per cell. Number 3: total magnetic moment 0.00 μB/atom, raw total energy -50.59 eV per cell.